Entry 1:
# BaNdFe2O5

An optimized crystal structure of BaNdFe2O5 (PBE+U, the Materials Project database).

The formation energy is -243.3 kJ/mol of atoms.

CIF file:
```
data_BaNdFe2O5
_symmetry_space_group_name_H-M 'P m c 21'
_symmetry_Int_Tables_number 26
_cell_length_a 4.027
_cell_length_b 7.838
_cell_length_c 8.026
_cell_angle_alpha 90.00
_cell_angle_beta 90.00
_cell_angle_gamma 90.00
loop_
_symmetry_equiv_pos_as_xyz
'x,y,z'
'-x,-y,z+1/2'
'-x,y,z'
'x,-y,z+1/2'
loop_
_atom_site_label
_atom_site_fract_x
_atom_site_fract_y
_atom_site_fract_z
Ba1 0.000 0.000 0.000
Nd1 0.000 0.500 0.000
Fe1 0.500 0.256 0.250
Fe2 0.500 0.272 0.750
O1 0.000 0.308 0.250
O2 0.000 0.308 0.750
O3 0.500 0.012 0.250
O4 0.500 0.309 0.493
O5 0.500 0.310 0.007
```

Entry 2:
# V3CuO8

An optimized crystal structure of V3CuO8 (PBE+U, the Materials Project database).

The formation energy is -199.1 kJ/mol of atoms.

CIF file:
```
data_V3CuO8
_symmetry_space_group_name_H-M 'C 1 m 1'
_symmetry_Int_Tables_number 8
_cell_length_a 11.909
_cell_length_b 3.752
_cell_length_c 6.718
_cell_angle_alpha 90.00
_cell_angle_beta 106.49
_cell_angle_gamma 90.00
loop_
_symmetry_equiv_pos_as_xyz
'x,y,z'
'x,-y,z'
'x+1/2,y+1/2,z'
'x+1/2,-y+1/2,z'
loop_
_atom_site_label
_atom_site_fract_x
_atom_site_fract_y
_atom_site_fract_z
V1 0.000 0.000 0.000
V2 0.094 0.000 0.573
V3 0.305 0.000 0.038
Cu1 0.399 0.000 0.609
O1 0.058 0.000 0.308
O2 0.065 0.500 0.610
O3 0.144 0.000 0.967
O4 0.244 0.000 0.663
O5 0.328 0.000 0.290
O6 0.330 0.500 0.995
O7 0.445 0.500 0.681
O8 0.462 0.000 0.001
```

| no. | polymorph energy (0 for the lowest one) (eV per atom) |
| --- | --- |
| 1 | 0.008 |
| 2 | 0.000 |